58
Lattice="1.2779 5.7704 -2.1400 -5.4987 -1.1618 2.8150 8.2181 4.8805 18.0672" Properties=species:S:1:pos:R:3 comment="Ta7Cu3O19 PBE-GGA optimized geometry" m_tot_mub_per_fu=0.000 crystal_system=hexagonal dft_energy_ev_per_cell=-519.9 sg=P6_3/m pbc="T T T"
O 5.4451 3.2337 11.9708
O 0.1584 4.1363 2.0165
O 1.9887 5.2233 6.0404
O -0.4535 3.0222 12.2581
Ta 3.5903 2.9808 12.7461
Cu 1.9986 4.7445 9.3711
O 2.6306 3.4727 8.1209
O 5.6503 6.1638 15.3225
O 4.4508 6.4668 6.4842
Ta 2.4326 6.2356 12.3935
O 7.3290 7.8703 14.0980
Cu 4.7480 5.3254 7.9636
Cu -2.1104 2.3043 0.3375
O -1.6530 3.3253 3.4197
O -0.5500 1.5838 1.1287
O -0.0787 4.2602 6.8808
O -1.7573 2.5537 8.1053
O 3.0872 2.5560 10.7735
O -0.2732 5.8454 4.3262
Ta -1.1272 5.5971 2.6233
O 0.9101 6.9331 7.9687
O 4.5473 7.9052 17.6136
Ta 3.5503 5.6443 4.7997
O 1.3667 6.0164 10.6213
O 3.3558 7.7935 11.4962
O 1.2702 4.5780 -0.5081
Cu 1.3597 1.8593 10.4411
Ta 0.0000 0.0000 0.0000
O 3.0811 6.5267 14.1783
Cu 0.6389 2.8852 -1.0700
Ta 0.4070 6.5082 5.9961
Ta 1.9812 4.7558 17.3153
Cu -2.7494 -0.5809 1.4075
Ta 5.1245 3.8919 16.1189
O 0.6415 1.6956 7.2460
O 4.9301 8.7284 14.9574
Ta 0.0305 2.3424 2.9759
Ta 4.1091 2.4402 9.0336
O 6.2677 4.4448 17.7658
O 5.7546 6.9353 10.6369
O 0.9162 2.9624 4.5639
O -2.2704 5.0442 0.9765
O -0.9328 0.7606 3.7849
O 3.8389 5.3528 16.7257
O 2.7730 1.6468 6.0964
O 1.4197 4.2574 15.5470
Ta 0.4470 3.8448 13.9425
O 2.5776 5.2316 3.1953
Ta 2.0161 4.7332 1.4269
O 2.0086 4.2658 12.7018
O 4.2705 3.6437 14.4160
O 1.3360 0.7934 2.9372
O -3.3317 1.6188 4.6442
O 2.7271 4.9110 19.2503
O 6.8821 4.0870 15.1300
Ta 1.5647 3.2534 6.3488
O 4.0760 5.2288 11.8614
Ta 3.9668 7.1467 15.7663